Material: Li4Nb2Fe3Sb3O16
Method: DFT, GGA+U
State: relaxed

## Properties
formation energy from the elements	-59.55	eV/f.u.
energy with MP2020 corrections	-7.30	eV per atom
magnetization	26.00	μB/cell

Unit cell a=11.0009 b=6.2423 c=9.9921 alpha=90.00 beta=90.85 gamma=90.00
Last column: nearest neighbours and their distance in Å.
Space group Cm (No. 8)
Symmetry-distinct sites (fractional):
Li1 0.0000 0.0000 0.0000 [2 per cell]  1 O 1.83
Li2 0.0043 0.0000 0.4865 [2 per cell]  2 O 1.86-2.00
Li3 0.1847 0.5000 0.0882 [2 per cell]  4 O 2.01-2.23
Li4 0.3486 0.0000 0.5681 [2 per cell]  2 O 1.96-2.06
Nb1 0.1835 0.5000 0.4841 [2 per cell]  6 O 1.94-2.17
Nb2 0.3573 0.0000 0.0036 [2 per cell]  3 O 1.92-1.94
Fe1 0.3466 0.5000 0.7707 [2 per cell]  4 O 1.93-2.12
Fe2 0.4262 0.2496 0.2721 [4 per cell]  6 O 2.08-2.33
Sb1 0.1034 0.2602 0.7687 [4 per cell]  4 O 2.13-2.24
Sb2 0.1851 0.0000 0.2664 [2 per cell]  6 O 1.99-2.08
O1 0.0019 0.0000 0.6730 [2 per cell]  1 Li 1.86, 1 Fe 1.98
O2 0.0200 0.0000 0.1826 [2 per cell]  1 Li 1.83, 1 Sb 1.99
O3 0.0349 0.5000 0.5872 [2 per cell]  1 Nb 1.94, 1 Li 2.06
O4 0.1123 0.2391 0.3861 [4 per cell]  1 Nb 2.05, 1 Sb 2.08, 1 Li 2.16
O5 0.1789 0.0000 0.8855 [2 per cell]  2 Sb 2.16, 1 Nb 2.28, 1 Li 2.29
O6 0.2094 0.5000 0.8894 [2 per cell]  1 Fe 1.93, 1 Li 2.01
O7 0.2549 0.2875 0.6387 [4 per cell]  1 Fe 2.12, 1 Sb 2.13, 1 Nb 2.17, 1 Li 2.19
O8 0.2611 0.2105 0.1386 [4 per cell]  1 Sb 2.02, 1 Li 2.05, 1 Nb 2.17, 1 Fe 2.25
O9 0.3391 0.0000 0.3726 [2 per cell]  1 Li 1.96, 1 Sb 1.99, 2 Fe 2.09
O10 0.3445 0.5000 0.3887 [2 per cell]  1 Li 2.00, 1 Nb 2.02, 2 Fe 2.15
O11 0.4125 0.2457 0.9022 [4 per cell]  1 Nb 1.94, 1 Li 2.09
O12 0.4866 0.0000 0.1348 [2 per cell]  1 Nb 1.92

---

Material: Li4Nb3Fe3Te2O16
Method: DFT, GGA+U
State: relaxed

## Properties
formation energy from the elements	-62.31	eV/f.u.
energy with MP2020 corrections	-7.54	eV per atom
magnetization	26.00	μB/cell

Unit cell a=10.9592 b=6.0790 c=10.5007 alpha=90.00 beta=90.47 gamma=90.00
Last column: nearest neighbours and their distance in Å.
Space group Cm (No. 8)
Symmetry-distinct sites (fractional):
Li1 0.0000 0.0000 0.0000 [2 per cell]  4 O 1.95-2.15
Li2 0.0033 0.0000 0.5129 [2 per cell]  4 O 1.92-2.04
Li3 0.1628 0.5000 0.5932 [2 per cell]  4 O 2.00-2.08
Li4 0.3327 0.0000 0.0929 [2 per cell]  4 O 2.06-2.10
Nb1 0.0955 0.2575 0.2759 [4 per cell]  5 O 1.89-2.09
Nb2 0.1834 0.0000 0.7617 [2 per cell]  4 O 1.91-2.00
Fe1 0.3360 0.5000 0.2904 [2 per cell]  6 O 2.15-2.25
Fe2 0.4160 0.2438 0.7828 [4 per cell]  6 O 2.10-2.23
Te1 0.1725 0.5000 0.9794 [2 per cell]  3 O 1.98
Te2 0.3583 0.0000 0.5008 [2 per cell]  3 O 1.98-2.00
O1 0.0032 0.0000 0.1856 [2 per cell]  1 Li 1.95, 2 Nb 2.09, 1 Fe 2.15
O2 0.0062 0.5000 0.1705 [2 per cell]  1 Li 2.06, 2 Nb 2.08
O3 0.0134 0.0000 0.6959 [2 per cell]  1 Li 1.92, 1 Nb 1.98, 2 Fe 2.10
O4 0.0896 0.2527 0.8924 [4 per cell]  1 Te 1.98, 1 Li 2.15
O5 0.1416 0.0000 0.3919 [2 per cell]  1 Li 1.99, 2 Nb 2.04
O6 0.1601 0.5000 0.3998 [2 per cell]  1 Li 2.03, 2 Nb 2.09, 1 Fe 2.25
O7 0.2408 0.2562 0.1795 [4 per cell]  1 Nb 1.89, 1 Li 2.07
O8 0.2477 0.2334 0.6614 [4 per cell]  1 Nb 1.91, 1 Li 2.00
O9 0.3165 0.0000 0.8932 [2 per cell]  1 Nb 2.00, 1 Li 2.10, 2 Fe 2.18
O10 0.3347 0.5000 0.8983 [2 per cell]  1 Te 1.98, 1 Li 2.10, 2 Fe 2.17
O11 0.4303 0.2537 0.4054 [4 per cell]  1 Te 2.00, 1 Li 2.04, 1 Fe 2.18
O12 0.4790 0.0000 0.6422 [2 per cell]  1 Te 1.98, 1 Li 2.08, 2 Fe 2.21